[1]
This record from Materials Project describes crystalline GdGe2 at its relaxed geometry. The functional is r2SCAN.

a b c (Å): 8.667 8.667 8.667
angles (deg): 153.24 153.24 38.21
Fractional positions:
Gd1 0.750 0.250 0.500
Gd2 0.000 0.000 0.000
Ge1 0.171 0.671 0.500
Ge2 0.579 0.579 0.000
Ge3 0.329 0.829 0.500
Ge4 0.421 0.421 0.000

ΔE_f, meV/atom: -565
Total magnetic moment, μB/f.u.: 7.09
ρ, g/cm3: 7.6

[2]
This record from Materials Project describes crystalline TiRe at its relaxed geometry. The functional is r2SCAN.

a b c (Å): 3.108 3.108 3.108
angles (deg): 90.00 90.00 90.00
Fractional positions:
Ti1 0.500 0.500 0.500
Re1 0.000 0.000 0.000

ΔE_f, meV/atom: -449
Total magnetic moment, μB/f.u.: 0.00
ρ, g/cm3: 12.9

[3]
This record from Materials Project describes crystalline LiCoSnO4 at its relaxed geometry. The functional is r2SCAN.

a b c (Å): 5.948 5.947 8.464
angles (deg): 86.90 86.90 89.09
Fractional positions:
Li1 0.252 0.498 0.375
Li2 0.752 0.998 0.875
Li3 0.748 0.502 0.625
Li4 0.248 0.002 0.125
Co1 0.500 0.000 0.500
Co2 0.250 0.750 0.750
Co3 0.000 0.500 0.000
Co4 0.750 0.250 0.250
Sn1 0.750 0.750 0.250
Sn2 0.250 0.250 0.750
Sn3 0.000 0.000 0.500
Sn4 0.500 0.500 0.000
O1 0.025 0.515 0.770
O2 0.525 0.015 0.270
O3 0.735 0.225 0.480
O4 0.235 0.725 0.980
O5 0.265 0.775 0.520
O6 0.765 0.275 0.020
O7 0.975 0.485 0.230
O8 0.475 0.985 0.730
O9 0.977 0.011 0.256
O10 0.477 0.511 0.756
O11 0.739 0.773 0.494
O12 0.239 0.273 0.994
O13 0.261 0.227 0.506
O14 0.761 0.727 0.006
O15 0.023 0.989 0.744
O16 0.523 0.489 0.244

ΔE_f, meV/atom: -1761
Total magnetic moment, μB/f.u.: 0.00
ρ, g/cm3: 5.5

[4]
This record from Materials Project describes crystalline LaBC at its relaxed geometry. The functional is r2SCAN.

a b c (Å): 8.680 8.723 12.393
angles (deg): 90.00 90.00 90.00
Fractional positions:
La1 0.162 0.593 0.404
La2 0.755 0.790 0.325
La3 0.842 0.493 0.579
La4 0.448 0.903 0.142
La5 0.342 0.007 0.421
La6 0.255 0.710 0.675
La7 0.745 0.210 0.825
La8 0.552 0.403 0.358
La9 0.939 0.196 0.370
La10 0.948 0.597 0.858
La11 0.338 0.407 0.904
La12 0.658 0.507 0.079
La13 0.245 0.290 0.175
La14 0.158 0.993 0.921
La15 0.052 0.097 0.642
La16 0.662 0.907 0.596
La17 0.439 0.304 0.630
La18 0.838 0.093 0.096
La19 0.061 0.696 0.130
La20 0.561 0.804 0.870
B1 0.560 0.200 0.179
B2 0.481 0.113 0.961
B3 0.816 0.811 0.006
B4 0.618 0.105 0.286
B5 0.519 0.613 0.539
B6 0.903 0.468 0.256
B7 0.882 0.895 0.786
B8 0.403 0.032 0.744
B9 0.019 0.887 0.461
B10 0.184 0.311 0.494
B11 0.981 0.387 0.039
B12 0.940 0.800 0.679
B13 0.440 0.700 0.321
B14 0.597 0.532 0.756
B15 0.060 0.300 0.821
B16 0.684 0.189 0.506
B17 0.316 0.689 0.994
B18 0.118 0.395 0.714
B19 0.382 0.605 0.214
B20 0.097 0.968 0.244
C1 0.024 0.307 0.938
C2 0.056 0.890 0.345
C3 0.556 0.610 0.655
C4 0.139 0.999 0.132
C5 0.944 0.390 0.155
C6 0.247 0.297 0.385
C7 0.354 0.608 0.095
C8 0.253 0.703 0.885
C9 0.976 0.807 0.562
C10 0.444 0.110 0.845
C11 0.476 0.693 0.438
C12 0.854 0.892 0.905
C13 0.361 0.001 0.632
C14 0.524 0.193 0.062
C15 0.747 0.203 0.615
C16 0.753 0.797 0.115
C17 0.639 0.501 0.868
C18 0.146 0.392 0.595
C19 0.646 0.108 0.405
C20 0.861 0.499 0.368

ΔE_f, meV/atom: -500
Total magnetic moment, μB/f.u.: 0.00
ρ, g/cm3: 5.7